First-principles (GGA+U) data for a relaxed structure of LiFeF5, as listed in Materials Project.

Lattice parameters (Å, degrees): 5.374 10.872 13.516 90.00 90.00 90.00
Sites, in units of the cell vectors:
F 0.493 0.447 0.227
Fe 0.750 0.061 0.294
F 0.484 0.209 0.556
F 0.480 0.435 0.591
F 0.493 0.053 0.727
Fe 0.750 0.672 0.449
F 0.480 0.065 0.091
F 0.250 0.536 0.069
F 0.975 0.317 0.788
F 0.484 0.291 0.056
Li 0.750 0.100 0.559
Li 0.250 0.867 0.190
F 0.007 0.447 0.227
F 0.250 0.349 0.417
F 0.993 0.553 0.773
F 0.475 0.683 0.212
Li 0.750 0.367 0.310
F 0.993 0.947 0.273
F 0.516 0.791 0.444
F 0.750 0.464 0.931
F 0.975 0.183 0.288
F 0.980 0.935 0.909
Li 0.250 0.900 0.441
Li 0.750 0.133 0.810
F 0.016 0.209 0.556
Li 0.250 0.600 0.941
F 0.516 0.709 0.944
Li 0.750 0.400 0.059
F 0.750 0.651 0.583
Li 0.250 0.633 0.690
F 0.980 0.565 0.409
F 0.475 0.817 0.712
F 0.750 0.849 0.083
F 0.250 0.964 0.569
Fe 0.250 0.172 0.051
F 0.020 0.435 0.591
F 0.020 0.065 0.091
F 0.025 0.683 0.212
F 0.984 0.709 0.944
F 0.016 0.291 0.056
Fe 0.750 0.828 0.949
Fe 0.250 0.328 0.551
F 0.750 0.036 0.431
F 0.007 0.053 0.727
Fe 0.250 0.939 0.706
F 0.525 0.183 0.288
F 0.025 0.817 0.712
Fe 0.750 0.439 0.794
F 0.520 0.565 0.409
F 0.507 0.553 0.773
F 0.250 0.151 0.917
F 0.984 0.791 0.444
F 0.507 0.947 0.273
Fe 0.250 0.561 0.206
F 0.520 0.935 0.909
F 0.525 0.317 0.788

Results
Mass density (g/cm3): 2.7
Uncorrected energy (eV per atom): -4.550
Energy with MP2020 corrections (eV per atom): -5.20
Formation enthalpy at 0 K (eV/atom): -2.3525
Relative energy among the computed polymorphs (kJ/mol of atoms): 9.9

=====

First-principles (GGA+U) data for a relaxed structure of Li5Mn4P4O16F, as listed in Materials Project.

Lattice parameters (Å, degrees): 8.321 8.321 8.321 95.78 95.78 143.00
Sites, in units of the cell vectors:
O 0.837 0.042 0.273
O 0.828 0.628 0.129
Mn 0.833 0.881 0.716
O 0.788 0.793 0.457
O 0.374 0.055 0.551
O 0.435 0.163 0.204
O 0.372 0.501 0.200
Mn 0.119 0.835 0.952
O 0.669 0.212 0.005
O 0.945 0.496 0.320
Mn 0.883 0.167 0.048
P 0.725 0.380 0.165
O 0.301 0.172 0.800
O 0.499 0.699 0.871
Mn 0.165 0.117 0.284
O 0.504 0.823 0.449
O 0.769 0.565 0.727
P 0.620 0.785 0.345
O 0.177 0.626 0.680
Li 0.115 0.444 0.455
P 0.440 0.275 0.655
O 0.958 0.231 0.796
O 0.207 0.664 0.995
O 0.336 0.331 0.543
Li 0.340 0.885 0.329
F 0.000 0.000 0.000
Li 0.556 0.011 0.671
P 0.215 0.560 0.835
Li 0.500 0.500 0.000
Li 0.989 0.660 0.545

Results
Mass density (g/cm3): 3.3
Uncorrected energy (eV per atom): -6.953
Energy with MP2020 corrections (eV per atom): -7.56
Formation enthalpy at 0 K (eV/atom): -2.5927